(1)
This record from Materials Project describes a relaxed Rb11Al14Si10Ag3O48 crystal. The functional is PBE-GGA.

a = 12.447 Å, b = 12.470 Å, c = 12.716 Å
α = 89.90°, β = 89.71°, γ = 89.88°
Positions (direct):
Rb 0.000 0.000 0.000
Rb 0.000 0.488 0.449
Rb 0.246 0.736 0.221
Rb 0.262 0.221 0.691
Rb 0.473 0.003 0.003
Rb 0.475 0.477 0.002
Rb 0.606 0.868 0.813
Rb 0.650 0.600 0.833
Rb 0.747 0.228 0.199
Rb 0.878 0.826 0.825
Rb 0.992 0.486 0.970
Al 0.114 0.734 0.533
Al 0.118 0.733 0.887
Al 0.368 0.733 0.888
Al 0.552 0.735 0.343
Al 0.554 0.110 0.706
Al 0.554 0.738 0.089
Al 0.739 0.541 0.093
Al 0.740 0.538 0.340
Al 0.741 0.360 0.888
Al 0.742 0.107 0.888
Al 0.743 0.925 0.090
Al 0.746 0.933 0.342
Al 0.930 0.733 0.086
Al 0.933 0.733 0.336
Si 0.113 0.922 0.706
Si 0.119 0.544 0.707
Si 0.363 0.922 0.706
Si 0.367 0.736 0.533
Si 0.370 0.549 0.706
Si 0.554 0.362 0.705
Si 0.747 0.361 0.537
Si 0.748 0.108 0.534
Si 0.930 0.107 0.707
Si 0.931 0.360 0.710
Ag 0.248 0.072 0.212
Ag 0.248 0.396 0.206
Ag 0.383 0.234 0.216
O 0.017 0.733 0.979
O 0.039 0.719 0.421
O 0.041 0.035 0.706
O 0.044 0.431 0.705
O 0.082 0.848 0.609
O 0.092 0.613 0.812
O 0.093 0.612 0.603
O 0.093 0.858 0.817
O 0.238 0.969 0.703
O 0.243 0.727 0.943
O 0.246 0.499 0.708
O 0.247 0.736 0.490
O 0.387 0.854 0.813
O 0.388 0.628 0.606
O 0.388 0.844 0.607
O 0.400 0.612 0.814
O 0.437 0.028 0.703
O 0.449 0.738 0.436
O 0.451 0.445 0.696
O 0.466 0.737 0.982
O 0.493 0.741 0.215
O 0.501 0.243 0.700
O 0.620 0.080 0.824
O 0.620 0.386 0.813
O 0.623 0.858 0.065
O 0.624 0.618 0.070
O 0.629 0.620 0.362
O 0.635 0.848 0.363
O 0.639 0.386 0.607
O 0.643 0.082 0.604
O 0.736 0.455 0.985
O 0.741 0.987 0.214
O 0.742 0.475 0.215
O 0.749 0.234 0.940
O 0.750 0.237 0.501
O 0.752 0.044 0.425
O 0.753 0.435 0.434
O 0.754 0.020 0.992
O 0.855 0.617 0.354
O 0.855 0.847 0.361
O 0.857 0.615 0.074
O 0.857 0.850 0.065
O 0.859 0.386 0.604
O 0.861 0.086 0.601
O 0.861 0.390 0.812
O 0.862 0.075 0.811
O 0.973 0.234 0.708
O 0.993 0.731 0.209

For the formation energy, the calculation gives -2.818 eV/atom. The polymorph energy (0 for the lowest one) is 0.62 kcal/mol of atoms.

***

(2)
This record from Materials Project describes a relaxed AlSiAgO4 crystal. The functional is PBE-GGA.

a = 9.226 Å, b = 9.226 Å, c = 9.226 Å
α = 90.20°, β = 90.20°, γ = 90.20°
Positions (direct):
Al 0.000 0.248 0.753
Al 0.248 0.753 0.000
Al 0.253 0.748 0.500
Al 0.500 0.253 0.748
Al 0.748 0.500 0.253
Al 0.753 0.000 0.248
Si 0.249 0.999 0.752
Si 0.252 0.499 0.749
Si 0.499 0.749 0.252
Si 0.749 0.252 0.499
Si 0.752 0.249 0.999
Si 0.999 0.752 0.249
Ag 0.007 0.007 0.493
Ag 0.007 0.493 0.007
Ag 0.493 0.007 0.007
Ag 0.507 0.507 0.993
Ag 0.507 0.993 0.507
Ag 0.993 0.507 0.507
O 0.100 0.703 0.111
O 0.100 0.794 0.392
O 0.109 0.401 0.794
O 0.111 0.100 0.703
O 0.203 0.600 0.611
O 0.210 0.900 0.890
O 0.294 0.600 0.892
O 0.294 0.901 0.609
O 0.390 0.400 0.710
O 0.392 0.100 0.794
O 0.400 0.710 0.390
O 0.401 0.794 0.109
O 0.600 0.611 0.203
O 0.600 0.892 0.294
O 0.609 0.294 0.901
O 0.611 0.203 0.600
O 0.703 0.111 0.100
O 0.710 0.390 0.400
O 0.794 0.109 0.401
O 0.794 0.392 0.100
O 0.890 0.210 0.900
O 0.892 0.294 0.600
O 0.900 0.890 0.210
O 0.901 0.609 0.294

For the formation energy, the calculation gives -2.687 eV/atom.

***

(3)
This record from Materials Project describes a relaxed AlAgS2 crystal. The functional is PBE-GGA.

a = 6.640 Å, b = 6.640 Å, c = 6.640 Å
α = 128.63°, β = 128.63°, γ = 75.61°
Positions (direct):
Al 0.000 0.000 0.000
Al 0.750 0.250 0.500
Ag 0.250 0.750 0.500
Ag 0.500 0.500 0.000
S 0.080 0.625 0.955
S 0.375 0.330 0.455
S 0.670 0.125 0.045
S 0.875 0.920 0.545

Its largest piezoelectric modulus is 0.29 C/m². For the formation energy, the calculation gives -1.009 eV/atom.

***

no.,density (g/cm3)
1,2.3
2,2.9
3,3.8